DFT (PBE-GGA) results for a geometry-optimized RbSb3S5O structure.

The structure belongs to space group P-1 (No. 2); the cell edges are 5.9720, 9.1189 and 10.9993 Å and the angles 76.64°, 86.37° and 83.25°. The inequivalent atoms are Rb at (0.2125, 0.1331, 0.3415), Sb at (0.2834, 0.0818, 0.8679), Sb at (0.2844, 0.6577, 0.0362), Sb at (0.2964, 0.4799, 0.6254), S at (0.2953, 0.5199, 0.3853), S at (0.2964, 0.8242, 0.8188), S at (0.3067, 0.9131, 0.1236), S at (0.3151, 0.4148, 0.9224), S at (0.3239, 0.1929, 0.6172) and O at (0.4468, 0.8441, 0.4478).

The calculated total energy is -4.3985 eV/atom. The distance to the lowest polymorph of the same formula is 0.0 meV/atom. For the energy of formation from the pure elements, the calculation gives -0.5674 eV/atom.